The following is a DFT calculation (PBE-GGA) of an optimized crystal structure of MgV2S4.

abc: 3.238 16.719 3.243
angles: 86.11 60.02 88.51
Positions (direct):
Mg 0.000 0.000 0.000
V 0.746 0.244 0.507
V 0.254 0.756 0.494
S 0.418 0.331 0.138
S 0.923 0.843 0.131
S 0.077 0.157 0.869
S 0.581 0.669 0.862

Values from the calculation:
MP2020-corrected energy in eV/atom: -6.24
Energy of formation in meV/atom: -1055
Density in Mg/m³: 2.8
ΔE to the lowest computed polymorph in kJ/mol of formula units: 147

=====

The following is a DFT calculation (PBE-GGA) of an optimized crystal structure of Ta4P4S29.

abc: 15.918 15.918 14.118
angles: 90.00 90.00 90.00
Positions (direct):
Ta 0.178 0.671 0.775
Ta 0.829 0.678 0.525
Ta 0.171 0.322 0.025
Ta 0.822 0.329 0.275
Ta 0.678 0.829 0.475
Ta 0.322 0.171 0.975
Ta 0.671 0.178 0.225
Ta 0.329 0.822 0.725
Ta 0.180 0.670 0.276
Ta 0.830 0.680 0.026
Ta 0.170 0.320 0.526
Ta 0.820 0.330 0.776
Ta 0.680 0.830 0.974
Ta 0.320 0.170 0.474
Ta 0.670 0.180 0.724
Ta 0.330 0.820 0.224
P 0.183 0.507 0.920
P 0.993 0.683 0.670
P 0.007 0.317 0.170
P 0.817 0.493 0.420
P 0.683 0.993 0.330
P 0.317 0.007 0.830
P 0.507 0.183 0.080
P 0.493 0.817 0.580
P 0.184 0.506 0.422
P 0.994 0.684 0.172
P 0.006 0.316 0.672
P 0.816 0.494 0.922
P 0.684 0.994 0.828
P 0.316 0.006 0.328
P 0.506 0.184 0.578
P 0.494 0.816 0.078
S 0.257 0.023 0.958
S 0.477 0.757 0.708
S 0.523 0.243 0.208
S 0.743 0.977 0.458
S 0.757 0.477 0.292
S 0.243 0.523 0.792
S 0.023 0.257 0.042
S 0.977 0.743 0.542
S 0.255 0.022 0.456
S 0.478 0.755 0.206
S 0.522 0.245 0.706
S 0.745 0.978 0.956
S 0.755 0.478 0.794
S 0.245 0.522 0.294
S 0.022 0.255 0.544
S 0.978 0.745 0.044
S 0.254 0.463 0.031
S 0.037 0.754 0.781
S 0.963 0.246 0.281
S 0.746 0.537 0.531
S 0.754 0.037 0.219
S 0.246 0.963 0.719
S 0.463 0.254 0.969
S 0.537 0.746 0.469
S 0.252 0.461 0.534
S 0.039 0.752 0.284
S 0.961 0.248 0.784
S 0.748 0.539 0.034
S 0.752 0.039 0.716
S 0.248 0.961 0.216
S 0.461 0.252 0.466
S 0.539 0.748 0.966
S 0.125 0.368 0.186
S 0.132 0.625 0.936
S 0.868 0.375 0.436
S 0.875 0.632 0.686
S 0.625 0.132 0.064
S 0.375 0.868 0.564
S 0.368 0.125 0.814
S 0.632 0.875 0.314
S 0.124 0.368 0.686
S 0.132 0.624 0.436
S 0.868 0.376 0.936
S 0.876 0.632 0.186
S 0.624 0.132 0.564
S 0.376 0.868 0.064
S 0.368 0.124 0.314
S 0.632 0.876 0.814
S 0.416 0.089 0.077
S 0.411 0.916 0.827
S 0.589 0.084 0.327
S 0.584 0.911 0.577
S 0.916 0.411 0.173
S 0.084 0.589 0.673
S 0.089 0.416 0.923
S 0.911 0.584 0.423
S 0.415 0.089 0.578
S 0.411 0.915 0.328
S 0.589 0.085 0.828
S 0.585 0.911 0.078
S 0.915 0.411 0.672
S 0.085 0.589 0.172
S 0.089 0.415 0.422
S 0.911 0.585 0.922
S 0.215 0.181 0.110
S 0.319 0.715 0.860
S 0.681 0.285 0.360
S 0.785 0.819 0.610
S 0.715 0.319 0.140
S 0.285 0.681 0.640
S 0.181 0.215 0.890
S 0.819 0.785 0.390
S 0.214 0.179 0.610
S 0.321 0.714 0.360
S 0.679 0.286 0.860
S 0.786 0.821 0.110
S 0.714 0.321 0.640
S 0.286 0.679 0.140
S 0.179 0.214 0.390
S 0.821 0.786 0.890
S 0.302 0.275 0.114
S 0.225 0.802 0.864
S 0.775 0.198 0.364
S 0.698 0.725 0.614
S 0.802 0.225 0.136
S 0.198 0.775 0.636
S 0.275 0.302 0.886
S 0.725 0.698 0.386
S 0.301 0.273 0.614
S 0.227 0.801 0.364
S 0.773 0.199 0.864
S 0.699 0.727 0.114
S 0.801 0.227 0.636
S 0.199 0.773 0.136
S 0.273 0.301 0.386
S 0.727 0.699 0.886
S 0.554 0.529 0.652
S 0.971 0.054 0.402
S 0.029 0.946 0.902
S 0.446 0.471 0.152
S 0.054 0.971 0.598
S 0.946 0.029 0.098
S 0.529 0.554 0.348
S 0.471 0.446 0.848
S 0.445 0.511 0.449
S 0.989 0.945 0.199
S 0.011 0.055 0.699
S 0.555 0.489 0.949
S 0.945 0.989 0.801
S 0.055 0.011 0.301
S 0.511 0.445 0.551
S 0.489 0.555 0.051
S 0.042 0.042 0.000
S 0.458 0.542 0.750
S 0.542 0.458 0.250
S 0.958 0.958 0.500

Values from the calculation:
MP2020-corrected energy in eV/atom: -5.94
Energy of formation in meV/atom: -834
Density in Mg/m³: 3.3

=====

The following is a DFT calculation (PBE-GGA) of an optimized crystal structure of Cu2SnSe3.

abc: 7.082 7.082 7.082
angles: 146.21 132.07 59.92
Positions (direct):
Cu 0.838 0.830 0.007
Cu 0.177 0.170 0.007
Sn 0.482 0.500 0.982
Se 0.057 0.322 0.735
Se 0.412 0.678 0.735
Se 0.784 0.000 0.784

Values from the calculation:
MP2020-corrected energy in eV/atom: -4.30
Energy of formation in meV/atom: -515
Density in Mg/m³: 5.5

=====

The following is a DFT calculation (PBE-GGA) of an optimized crystal structure of CsRbMg6.

abc: 5.437 8.182 12.496
angles: 90.00 90.00 90.00
Positions (direct):
Cs 0.000 0.000 0.661
Cs 0.000 0.500 0.161
Rb 0.500 0.000 0.842
Rb 0.500 0.500 0.342
Mg 0.500 0.310 0.591
Mg 0.500 0.690 0.591
Mg 0.500 0.000 0.334
Mg 0.000 0.192 0.408
Mg 0.000 0.808 0.408
Mg 0.000 0.000 0.165
Mg 0.500 0.810 0.091
Mg 0.500 0.190 0.091
Mg 0.500 0.500 0.834
Mg 0.000 0.692 0.908
Mg 0.000 0.308 0.908
Mg 0.000 0.500 0.665

Values from the calculation:
Energy of formation in meV/atom: 327
Density in Mg/m³: 2.2
ΔE to the lowest computed polymorph in kJ/mol of formula units: 43

=====

The following is a DFT calculation (PBE-GGA) of an optimized crystal structure of HfMgN2.

abc: 4.436 4.436 5.570
angles: 113.47 113.47 90.00
Positions (direct):
Hf 0.125 0.375 0.250
Hf 0.875 0.625 0.750
Mg 0.375 0.125 0.750
Mg 0.625 0.875 0.250
N 0.114 0.864 0.228
N 0.886 0.136 0.772
N 0.636 0.386 0.272
N 0.364 0.614 0.728

Values from the calculation:
MP2020-corrected energy in eV/atom: -8.71
Energy of formation in meV/atom: -1651
Density in Mg/m³: 8.5

=====

The following is a DFT calculation (PBE-GGA) of an optimized crystal structure of K2AgAs3Se6.

abc: 7.786 12.933 18.245
angles: 53.01 90.00 90.00
Positions (direct):
K 0.890 0.590 0.757
K 0.390 0.410 0.743
K 0.110 0.410 0.243
K 0.610 0.590 0.257
K 0.371 0.786 0.386
K 0.871 0.214 0.114
K 0.629 0.214 0.614
K 0.129 0.786 0.886
Ag 0.993 0.528 0.572
Ag 0.493 0.472 0.928
Ag 0.007 0.472 0.428
Ag 0.507 0.528 0.072
As 0.089 0.220 0.655
As 0.589 0.780 0.845
As 0.911 0.780 0.345
As 0.411 0.220 0.155
As 0.944 0.171 0.865
As 0.444 0.829 0.635
As 0.056 0.829 0.135
As 0.556 0.171 0.365
As 0.327 0.117 0.006
As 0.827 0.883 0.494
As 0.673 0.883 0.994
As 0.173 0.117 0.506
Se 0.242 0.049 0.661
Se 0.742 0.951 0.839
Se 0.758 0.951 0.339
Se 0.258 0.049 0.161
Se 0.733 0.592 0.442
Se 0.233 0.408 0.058
Se 0.267 0.408 0.558
Se 0.767 0.592 0.942
Se 0.204 0.120 0.810
Se 0.704 0.880 0.690
Se 0.796 0.880 0.190
Se 0.296 0.120 0.310
Se 0.817 0.350 0.727
Se 0.317 0.650 0.773
Se 0.183 0.650 0.273
Se 0.683 0.350 0.227
Se 0.096 0.282 0.919
Se 0.596 0.718 0.581
Se 0.904 0.718 0.081
Se 0.404 0.282 0.419
Se 0.074 0.752 0.539
Se 0.574 0.248 0.961
Se 0.926 0.248 0.461
Se 0.426 0.752 0.039

Values from the calculation:
MP2020-corrected energy in eV/atom: -4.03
Energy of formation in meV/atom: -699
Density in Mg/m³: 4.0

=====

The following is a DFT calculation (PBE-GGA) of an optimized crystal structure of GeS2.

abc: 22.866 6.964 6.965
angles: 61.18 90.00 90.00
Positions (direct):
Ge 0.012 0.002 0.000
Ge 0.988 0.502 0.000
Ge 0.263 0.244 0.756
Ge 0.737 0.744 0.756
Ge 0.488 0.001 0.507
Ge 0.512 0.501 0.507
Ge 0.238 0.250 0.252
Ge 0.762 0.750 0.252
Ge 0.125 0.391 0.862
Ge 0.875 0.891 0.862
Ge 0.375 0.388 0.368
Ge 0.625 0.888 0.368
S 0.051 0.632 0.716
S 0.949 0.132 0.716
S 0.102 0.079 0.853
S 0.898 0.579 0.853
S 0.200 0.530 0.622
S 0.800 0.030 0.622
S 0.302 0.532 0.124
S 0.698 0.032 0.124
S 0.448 0.634 0.223
S 0.552 0.134 0.223
S 0.999 0.140 0.231
S 0.001 0.640 0.231
S 0.149 0.402 0.170
S 0.851 0.902 0.170
S 0.246 0.018 0.615
S 0.754 0.518 0.615
S 0.254 0.017 0.119
S 0.746 0.517 0.119
S 0.354 0.373 0.690
S 0.646 0.873 0.690
S 0.396 0.064 0.383
S 0.604 0.564 0.383
S 0.494 0.637 0.735
S 0.506 0.137 0.735

Values from the calculation:
MP2020-corrected energy in eV/atom: -4.96
Energy of formation in meV/atom: -656
Density in Mg/m³: 2.8

=====

The following is a DFT calculation (PBE-GGA) of an optimized crystal structure of ErCu3Te3.

abc: 6.937 7.639 12.839
angles: 90.00 90.00 90.00
Positions (direct):
Er 0.244 0.750 0.839
Er 0.744 0.250 0.339
Er 0.744 0.250 0.661
Er 0.244 0.750 0.161
Cu 0.367 0.118 0.826
Cu 0.616 0.622 0.000
Cu 0.867 0.882 0.674
Cu 0.621 0.618 0.674
Cu 0.873 0.878 0.000
Cu 0.116 0.378 0.500
Cu 0.621 0.618 0.326
Cu 0.373 0.122 0.500
Cu 0.867 0.882 0.326
Cu 0.367 0.118 0.174
Cu 0.121 0.382 0.826
Cu 0.121 0.382 0.174
Te 0.009 0.567 0.337
Te 0.509 0.433 0.163
Te 0.980 0.066 0.163
Te 0.009 0.567 0.663
Te 0.996 0.551 0.000
Te 0.509 0.433 0.837
Te 0.480 0.934 0.337
Te 0.480 0.934 0.663
Te 0.992 0.052 0.500
Te 0.492 0.948 0.000
Te 0.980 0.066 0.837
Te 0.496 0.449 0.500

Values from the calculation:
MP2020-corrected energy in eV/atom: -4.47
Energy of formation in meV/atom: -714
Density in Mg/m³: 7.2
ΔE to the lowest computed polymorph in kJ/mol of formula units: 0